# NiP3NO9, optimized geometry, DFT PBE+U
data_NiP3NO9
_cell_length_a 10.1582
_cell_length_b 10.1582
_cell_length_c 7.4002
_cell_angle_alpha 90.00
_cell_angle_beta 90.00
_cell_angle_gamma 120.00
_symmetry_space_group_name_H-M 'R 3 2'
_symmetry_Int_Tables_number 155
_symmetry_space_group_name_Hall 'R 3 2"'
loop_
_atom_site_label
_atom_site_type_symbol
_atom_site_fract_x
_atom_site_fract_y
_atom_site_fract_z
Ni1 Ni 0.0000 0.0000 0.0000
P1 P 0.0000 0.5715 0.5000
N1 N 0.0000 0.0000 0.5000
O1 O 0.0000 0.6529 0.0000
O2 O 0.0877 0.1898 0.8444
# **MP2020-corrected energy**: -7.0936 eV/atom
# **M_tot**: 4.0 μB per formula unit